Entry 1:
## MgMn2O4 (PBE with a Hubbard U)

Data for an optimized crystal structure of MgMn2O4.

```
28
Lattice="6.046 0.000 0.000 -3.015 5.244 0.000 -2.848 -1.829 9.884" Properties=species:S:1:pos:R:3 pbc="T T T"
Mg 0.000 0.000 0.000
Mg -2.907 1.694 4.949
Mg -1.276 0.719 8.033
Mg -1.313 4.304 3.085
Mn -1.511 2.630 0.006
Mn -4.424 4.324 4.944
Mn -1.449 0.883 2.477
Mn 3.009 0.009 0.010
Mn 0.107 1.688 4.940
Mn 1.532 -0.901 6.812
Mn 1.454 2.695 1.868
Mn 1.637 2.529 7.428
O -3.170 3.380 6.153
O -0.230 1.723 1.160
O -2.961 1.520 8.745
O -1.274 -1.183 8.678
O -1.426 4.318 1.049
O -1.309 0.781 5.991
O -1.322 2.392 3.765
O 0.169 0.114 3.796
O 0.060 3.254 6.086
O 1.536 1.029 6.117
O 1.596 -0.892 8.870
O 1.524 2.606 3.949
O 1.443 4.645 1.204
O 3.167 1.890 1.136
O 0.372 1.683 8.716
O 3.355 0.004 3.738
```

Values from the calculation:
E_tot   -7.119 eV per atom
Distance to the lowest polymorph of the same formula   27 meV/atom

Entry 2:
## Mg2TaWO6 (PBE with a Hubbard U)

Data for an optimized crystal structure of Mg2TaWO6.

```
20
Lattice="5.331 0.000 0.000 0.000 5.463 0.000 -5.287 0.000 7.798" Properties=species:S:1:pos:R:3 pbc="T T T"
Mg 0.002 0.231 1.942
Mg -2.642 2.501 5.841
Mg 2.686 2.962 1.957
Mg 0.043 5.232 5.856
Ta 2.666 0.000 0.000
Ta 0.022 2.731 3.899
W -2.643 0.000 3.899
W 0.000 2.731 0.000
O -3.341 0.433 5.932
O -0.698 2.299 2.033
O -1.655 3.641 4.423
O 0.988 4.553 0.524
O -0.812 1.019 4.482
O 1.831 1.713 0.583
O -1.787 3.750 7.215
O 0.857 4.444 3.316
O -0.944 0.909 7.274
O 1.700 1.822 3.375
O 0.742 3.164 5.765
O 3.386 5.030 1.866
```

Values from the calculation:
E_tot   -7.671 eV per atom
Distance to the lowest polymorph of the same formula   42 meV/atom

Entry 3:
## MgCr2P2O8 (PBE with a Hubbard U)

Data for an optimized crystal structure of MgCr2P2O8.

```
52
Lattice="8.872 -2.528 0.000 8.872 2.528 0.000 -8.283 0.000 14.256" Properties=species:S:1:pos:R:3 pbc="T T T"
Mg -0.857 1.446 12.474
Mg 6.177 1.446 8.910
Mg 3.285 -1.446 5.346
Mg 10.318 -1.446 1.782
Cr 4.436 1.264 0.000
Cr 2.691 1.335 7.565
Cr 2.660 1.601 10.692
Cr 2.629 1.335 13.819
Cr 0.295 -1.264 7.128
Cr 6.833 -1.335 0.437
Cr 6.802 -1.601 3.564
Cr 6.771 -1.335 6.691
P -0.228 1.399 9.158
P 5.318 1.055 5.603
P 8.286 1.055 1.525
P 5.548 1.399 12.226
P 3.914 -1.399 2.030
P 1.176 -1.055 12.731
P 4.144 -1.055 8.653
P 9.689 -1.399 5.098
O -0.818 1.084 10.498
O 3.864 1.571 5.926
O 1.342 1.356 9.147
O 5.748 1.784 4.368
O -0.655 0.382 8.020
O 7.328 1.270 0.306
O 7.855 1.784 2.759
O -2.838 0.277 12.751
O 9.739 1.571 1.202
O 3.486 -0.382 0.892
O 1.304 -0.277 5.623
O 6.275 1.270 6.822
O 3.978 1.356 12.237
O 1.129 0.512 12.544
O 4.192 0.512 8.840
O 6.138 1.084 10.886
O 3.323 -1.084 3.370
O 5.270 -0.512 5.416
O 8.333 -0.512 1.712
O 5.483 -1.356 2.019
O 3.187 -1.270 7.434
O 8.158 0.277 8.633
O 5.976 0.382 13.364
O -0.278 -1.571 13.054
O 12.299 -0.277 1.505
O 1.606 -1.784 11.496
O 2.133 -1.270 13.950
O 10.117 -0.382 6.236
O 3.714 -1.784 9.887
O 8.120 -1.356 5.109
O 5.598 -1.571 8.330
O 10.280 -1.084 3.758
```

Values from the calculation:
E_tot   -7.368 eV per atom

Entry 4:
## SmEuNbCrO6 (PBE with a Hubbard U)

Data for an optimized crystal structure of SmEuNbCrO6.

```
10
Lattice="0.000 3.991 3.991 3.991 0.000 3.991 3.991 3.991 0.000" Properties=species:S:1:pos:R:3 pbc="T T T"
Sm 0.000 0.000 0.000
Eu 3.991 3.991 3.991
Nb 5.987 5.987 5.987
Cr 1.996 1.996 1.996
O 1.996 1.996 0.025
O 1.996 0.025 1.996
O 3.966 1.996 1.996
O 0.025 1.996 1.996
O 1.996 3.966 1.996
O 1.996 1.996 3.966
```

Values from the calculation:
E_tot   -8.803 eV per atom

Entry 5:
## LiMnP4O12 (PBE with a Hubbard U)

Data for an optimized crystal structure of LiMnP4O12.

```
72
Lattice="12.818 0.000 0.000 0.000 8.409 0.000 0.000 0.000 9.392" Properties=species:S:1:pos:R:3 pbc="T T T"
Li 0.000 0.019 2.348
Li 0.000 8.391 7.044
Li 6.409 4.186 7.044
Li 6.409 4.223 2.348
Mn 0.000 3.143 2.348
Mn 0.000 5.266 7.044
Mn 6.409 1.061 7.044
Mn 6.409 7.348 2.348
P 1.772 1.513 0.020
P 1.772 6.897 4.716
P 1.902 3.905 4.758
P 1.902 4.504 0.062
P 4.507 0.299 0.062
P 4.507 8.110 4.758
P 4.637 2.692 4.716
P 4.637 5.717 0.020
P 8.181 2.692 9.372
P 8.181 5.717 4.676
P 8.312 0.299 4.634
P 8.312 8.110 9.330
P 10.916 3.905 9.330
P 10.916 4.504 4.634
P 11.046 1.513 4.676
P 11.046 6.897 9.372
O 0.851 1.577 1.223
O 0.851 6.832 5.919
O 0.902 3.873 5.873
O 0.902 4.536 1.177
O 1.350 0.814 8.183
O 1.350 7.596 3.487
O 1.554 3.118 3.503
O 1.554 5.291 8.199
O 2.283 3.010 9.045
O 2.283 5.399 4.349
O 3.146 0.891 0.625
O 3.146 7.519 5.321
O 3.263 3.314 5.321
O 3.263 5.095 0.625
O 4.126 1.194 4.349
O 4.126 7.215 9.045
O 4.855 1.086 8.199
O 4.855 7.323 3.503
O 5.059 3.391 3.487
O 5.059 5.018 8.183
O 5.507 0.332 1.177
O 5.507 8.078 5.873
O 5.558 2.627 5.919
O 5.558 5.782 1.223
O 7.260 2.627 8.169
O 7.260 5.782 3.473
O 7.311 0.332 3.519
O 7.311 8.078 8.215
O 7.760 3.391 1.209
O 7.760 5.018 5.905
O 7.963 1.086 5.889
O 7.963 7.323 1.193
O 8.692 1.194 0.347
O 8.692 7.215 5.043
O 9.555 3.314 8.767
O 9.555 5.095 4.071
O 9.672 0.891 4.071
O 9.672 7.519 8.767
O 10.535 3.010 5.043
O 10.535 5.399 0.347
O 11.264 3.118 1.193
O 11.264 5.291 5.889
O 11.468 0.814 5.905
O 11.468 7.596 1.209
O 11.916 3.873 8.215
O 11.916 4.536 3.519
O 11.968 1.577 3.473
O 11.968 6.832 8.169
```

Values from the calculation:
E_tot   -7.141 eV per atom
Distance to the lowest polymorph of the same formula   0 meV/atom

Entry 6:
## Mn7Fe3O20 (PBE with a Hubbard U)

Data for an optimized crystal structure of Mn7Fe3O20.

```
60
Lattice="5.825 0.000 0.000 2.911 5.113 0.000 0.009 3.305 24.152" Properties=species:S:1:pos:R:3 pbc="T T T"
Mn 0.000 0.000 0.000
Mn 1.459 2.559 0.003
Mn 0.018 1.660 12.074
Mn 3.225 7.245 19.320
Mn 2.059 3.517 14.488
Mn 3.816 4.918 9.662
Mn 4.095 5.379 16.907
Mn 2.642 1.154 4.826
Mn 4.101 3.708 4.821
Mn 4.381 5.863 24.151
Mn 6.135 7.239 19.315
Mn 4.973 3.517 14.493
Mn 6.726 4.907 9.656
Mn 5.552 1.150 4.825
Fe 3.508 4.417 2.412
Fe 3.516 6.073 14.488
Fe 4.681 4.690 19.325
Fe 4.685 3.024 7.241
Fe 5.256 3.997 21.738
Fe 5.264 2.358 9.663
O 0.844 3.113 15.477
O 0.919 1.359 3.732
O 2.538 4.201 3.726
O 2.495 5.565 15.640
O 1.042 3.800 23.057
O 2.630 4.753 10.792
O 1.008 1.856 10.809
O 2.686 6.306 23.171
O 4.333 5.820 5.805
O 3.109 5.194 18.179
O 4.407 7.403 18.185
O 3.071 3.216 5.920
O 4.530 6.583 13.332
O 3.181 2.357 1.096
O 4.476 4.622 1.093
O 3.280 3.920 13.503
O 4.922 6.849 20.315
O 3.677 2.862 8.553
O 5.006 5.101 8.553
O 3.626 4.180 20.438
O 5.126 4.208 3.724
O 3.786 3.351 15.622
O 5.088 5.566 15.645
O 3.861 1.595 3.843
O 5.510 4.518 10.648
O 4.274 3.801 23.060
O 5.575 6.071 23.063
O 4.243 1.844 10.802
O 5.696 5.189 18.174
O 4.359 0.943 5.913
O 5.662 3.210 5.912
O 4.445 2.532 18.332
O 6.063 2.112 0.981
O 7.765 6.582 13.338
O 6.153 3.687 13.360
O 7.710 4.619 1.099
O 6.321 2.852 8.545
O 7.858 7.045 20.421
O 6.271 4.186 20.440
O 7.944 5.309 8.666
```

Values from the calculation:
E_tot   -5.951 eV per atom
Distance to the lowest polymorph of the same formula   840 meV/atom

Entry 7:
## Fe2O3 (PBE with a Hubbard U)

Data for an optimized crystal structure of Fe2O3.

```
80
Lattice="10.233 0.000 0.000 0.477 10.255 0.000 0.081 0.563 10.372" Properties=species:S:1:pos:R:3 pbc="T T T"
Fe 0.000 0.000 0.000
Fe 0.174 2.638 8.126
Fe 0.749 7.574 1.206
Fe 1.945 8.942 4.419
Fe 1.612 1.239 6.058
Fe 1.922 4.860 2.512
Fe 1.927 2.707 0.141
Fe 2.434 7.921 7.278
Fe 2.705 2.115 3.468
Fe 3.614 10.297 9.779
Fe 3.617 6.208 10.169
Fe 4.529 7.797 1.953
Fe 4.929 7.797 4.808
Fe 4.702 1.759 6.780
Fe 4.978 5.281 6.420
Fe 5.098 4.701 2.942
Fe 5.326 8.118 7.861
Fe 5.113 3.071 9.293
Fe 5.394 1.055 2.011
Fe 6.965 5.696 8.937
Fe 7.330 6.686 3.647
Fe 7.689 9.483 6.596
Fe 7.524 2.940 3.096
Fe 8.005 8.999 1.858
Fe 7.888 2.003 0.253
Fe 8.295 4.850 6.078
Fe 8.664 8.511 9.042
Fe 8.328 1.571 5.900
Fe 9.075 5.215 1.923
Fe 9.602 0.189 3.259
Fe 10.451 6.120 5.160
Fe 10.505 5.815 8.945
O 0.289 5.267 3.416
O 0.656 8.674 2.979
O 0.615 3.996 9.381
O 1.073 0.874 4.142
O 1.461 7.402 5.616
O 1.737 8.757 0.089
O 1.637 3.036 1.975
O 1.715 2.786 7.074
O 2.020 6.622 8.710
O 1.817 1.500 9.942
O 2.417 9.627 6.217
O 2.413 6.353 1.343
O 3.316 4.152 3.617
O 3.509 8.174 3.604
O 3.708 8.906 8.436
O 3.376 1.639 5.370
O 3.678 4.223 10.136
O 3.618 0.876 2.483
O 4.077 7.007 6.533
O 4.262 1.395 8.596
O 4.784 9.101 0.683
O 4.797 3.625 7.283
O 4.883 5.915 1.461
O 5.209 6.500 9.038
O 5.451 5.863 4.575
O 5.638 2.828 2.897
O 6.062 8.648 6.038
O 6.158 8.152 3.128
O 5.983 1.392 0.236
O 6.911 8.960 8.491
O 6.790 5.486 7.020
O 6.592 1.151 6.612
O 6.957 3.916 9.443
O 7.243 4.925 2.906
O 7.251 0.687 2.445
O 8.180 3.223 4.958
O 8.554 6.501 5.107
O 8.582 7.113 2.255
O 8.654 6.558 8.957
O 8.562 3.323 1.518
O 8.910 10.288 4.847
O 9.348 9.061 7.413
O 9.305 8.760 0.267
O 9.129 1.795 9.279
O 9.682 0.899 1.542
O 10.039 5.092 6.808
O 10.028 1.404 6.771
O 10.270 5.788 0.547
```

Values from the calculation:
E_tot   -6.405 eV per atom

Entry 8:
## Li9Mn2Co5O16 (PBE with a Hubbard U)

Data for an optimized crystal structure of Li9Mn2Co5O16.

```
32
Lattice="5.134 0.000 0.000 -1.667 5.668 0.000 -1.734 -0.535 9.898" Properties=species:S:1:pos:R:3 pbc="T T T"
Li 0.000 0.000 0.000
Li 0.847 4.929 1.204
Li 0.005 4.600 6.211
Li 1.723 2.029 1.218
Li 0.848 1.788 6.214
Li 0.885 3.344 3.684
Li 0.010 3.104 8.680
Li 1.728 0.533 3.686
Li 0.886 0.203 8.694
Mn -0.833 2.834 0.000
Mn -1.700 2.566 4.949
Co -0.867 -0.268 4.949
Co -1.697 0.974 7.487
Co -0.806 1.264 2.421
Co 2.539 3.868 7.477
Co 3.430 4.158 2.411
O -1.019 1.323 9.209
O -0.979 2.802 6.713
O -0.935 4.248 4.306
O -0.144 1.578 4.358
O -1.772 3.960 9.268
O -0.086 -0.050 6.731
O -0.050 3.075 1.756
O 0.750 0.272 1.956
O 0.983 4.860 7.942
O 1.783 2.057 8.142
O 1.819 5.182 3.167
O 3.505 1.173 0.630
O 1.877 3.554 5.540
O 2.668 0.884 5.592
O 2.712 2.331 3.185
O 2.752 3.809 0.689
```

Values from the calculation:
E_tot   -5.826 eV per atom
Distance to the lowest polymorph of the same formula   29 meV/atom